First-principles (PBE) data for a geometry-optimized Ta32Cu17O96 structure, as listed in the Materials Project.

calculated formation energy = -2.758 eV/atom
SG = No. 47
calculated density = 7.96 Mg/m³
size of the total moment = 13.7 μB/f.u.
volume = 12.09 Å³/atom

Lattice parameters (Å, degrees): 7.5728 7.5887 30.5139 90.00 90.00 90.00
Closest atoms and distances in Å follow each position.
Atoms (fractional coordinates):
Ta1 0.2470 0.2444 0.1878  6 O 1.93-2.05
Ta2 0.2470 0.2444 0.8122  6 O 1.93-2.05
Ta3 0.2470 0.7556 0.1878  6 O 1.93-2.05
Ta4 0.2470 0.7556 0.8122  6 O 1.93-2.05
Ta5 0.2478 0.2454 0.0615  6 O 1.93-2.06
Ta6 0.2478 0.2454 0.9385  6 O 1.93-2.06
Ta7 0.2482 0.2461 0.3109  6 O 1.93-2.08
Ta8 0.2482 0.2461 0.6891  6 O 1.93-2.08
Ta9 0.2482 0.7539 0.3109  6 O 1.93-2.08
Ta10 0.2482 0.7539 0.6891  6 O 1.93-2.08
Ta11 0.2478 0.7546 0.0615  6 O 1.93-2.06
Ta12 0.2478 0.7546 0.9385  6 O 1.93-2.06
Ta13 0.2513 0.2462 0.4376  6 O 1.94-2.05
Ta14 0.2513 0.2462 0.5624  6 O 1.94-2.05
Ta15 0.2513 0.7538 0.4376  6 O 1.94-2.05
Ta16 0.2513 0.7538 0.5624  6 O 1.94-2.05
Ta17 0.7487 0.2462 0.4376  6 O 1.94-2.05
Ta18 0.7487 0.2462 0.5624  6 O 1.94-2.05
Ta19 0.7487 0.7538 0.4376  6 O 1.94-2.05
Ta20 0.7487 0.7538 0.5624  6 O 1.94-2.05
Ta21 0.7522 0.2454 0.0615  6 O 1.93-2.06
Ta22 0.7522 0.2454 0.9385  6 O 1.93-2.06
Ta23 0.7518 0.2461 0.3109  6 O 1.93-2.08
Ta24 0.7518 0.2461 0.6891  6 O 1.93-2.08
Ta25 0.7518 0.7539 0.3109  6 O 1.93-2.08
Ta26 0.7518 0.7539 0.6891  6 O 1.93-2.08
Ta27 0.7522 0.7546 0.0615  6 O 1.93-2.06
Ta28 0.7522 0.7546 0.9385  6 O 1.93-2.06
Ta29 0.7530 0.2444 0.1878  6 O 1.93-2.05
Ta30 0.7530 0.2444 0.8122  6 O 1.93-2.05
Ta31 0.7530 0.7556 0.1878  6 O 1.93-2.05
Ta32 0.7530 0.7556 0.8122  6 O 1.93-2.05
Cu1 0.0000 0.0000 0.1248  4 O 2.00
Cu2 0.0000 0.0000 0.3747  4 O 2.01
Cu3 0.0000 0.0000 0.5000  4 O 2.02
Cu4 0.0000 0.0000 0.6253  4 O 2.01
Cu5 0.0000 0.0000 0.8752  4 O 2.00
Cu6 0.0000 0.5000 0.1250  4 O 2.00
Cu7 0.0000 0.5000 0.3748  4 O 1.99-2.01
Cu8 0.0000 0.5000 0.6252  4 O 1.99-2.01
Cu9 0.0000 0.5000 0.8750  4 O 2.00
Cu10 0.5000 0.5000 0.0000  4 O 2.00
Cu11 0.5000 0.5000 0.1251  4 O 1.99-2.00
Cu12 0.5000 0.5000 0.2493  4 O 2.00
Cu13 0.5000 0.5000 0.3739  4 O 1.98-2.02
Cu14 0.5000 0.5000 0.5000  4 O 2.01
Cu15 0.5000 0.5000 0.6261  4 O 1.98-2.02
Cu16 0.5000 0.5000 0.7507  4 O 2.00
Cu17 0.5000 0.5000 0.8749  4 O 1.99-2.00
O1 0.0000 0.1949 0.4551  2 Ta 2.01, 1 Cu 2.02
O2 0.0000 0.1949 0.5449  2 Ta 2.01, 1 Cu 2.02
O3 0.0000 0.2124 0.2983  2 Ta 1.94
O4 0.0000 0.2124 0.7017  2 Ta 1.94
O5 0.0000 0.2132 0.0479  2 Ta 1.94
O6 0.0000 0.2130 0.2025  2 Ta 1.94
O7 0.0000 0.2130 0.7975  2 Ta 1.94
O8 0.0000 0.2132 0.9521  2 Ta 1.94
O9 0.0000 0.7868 0.0479  2 Ta 1.94
O10 0.0000 0.7870 0.2025  2 Ta 1.94
O11 0.0000 0.7870 0.7975  2 Ta 1.94
O12 0.0000 0.7868 0.9521  2 Ta 1.94
O13 0.0000 0.7876 0.2983  2 Ta 1.94
O14 0.0000 0.7876 0.7017  2 Ta 1.94
O15 0.0000 0.8051 0.4551  2 Ta 2.01, 1 Cu 2.02
O16 0.0000 0.8051 0.5449  2 Ta 2.01, 1 Cu 2.02
O17 0.1824 0.5000 0.4229  1 Cu 2.01, 2 Ta 2.05
O18 0.1824 0.5000 0.5771  1 Cu 2.01, 2 Ta 2.05
O19 0.1883 0.1871 0.3758  2 Ta 1.99-2.08, 1 Cu 2.01
O20 0.1883 0.1871 0.6242  2 Ta 1.99-2.08, 1 Cu 2.01
O21 0.1881 0.5000 0.0792  1 Cu 2.00, 2 Ta 2.06
O22 0.1882 0.5000 0.1710  1 Cu 2.00, 2 Ta 2.05
O23 0.1882 0.5000 0.8290  1 Cu 2.00, 2 Ta 2.05
O24 0.1881 0.5000 0.9208  1 Cu 2.00, 2 Ta 2.06
O25 0.1883 0.8129 0.3758  2 Ta 1.99-2.08, 1 Cu 2.01
O26 0.1883 0.8129 0.6242  2 Ta 1.99-2.08, 1 Cu 2.01
O27 0.1887 0.1841 0.1251  1 Cu 2.00, 2 Ta 2.02-2.04
O28 0.1887 0.1841 0.8749  1 Cu 2.00, 2 Ta 2.02-2.04
O29 0.1885 0.5000 0.3296  1 Cu 1.99, 2 Ta 2.06
O30 0.1885 0.5000 0.6704  1 Cu 1.99, 2 Ta 2.06
O31 0.1887 0.8159 0.1251  1 Cu 2.00, 2 Ta 2.02-2.04
O32 0.1887 0.8159 0.8749  1 Cu 2.00, 2 Ta 2.02-2.04
O33 0.3041 0.0000 0.0520  2 Ta 1.93
O34 0.3037 0.0000 0.3030  2 Ta 1.93
O35 0.3037 0.0000 0.6970  2 Ta 1.93
O36 0.3041 0.0000 0.9480  2 Ta 1.93
O37 0.3046 0.0000 0.1984  2 Ta 1.93
O38 0.3046 0.0000 0.8016  2 Ta 1.93
O39 0.3059 0.0000 0.4485  2 Ta 1.94
O40 0.3059 0.0000 0.5515  2 Ta 1.94
O41 0.3097 0.3150 0.5000  1 Cu 2.01, 2 Ta 2.02
O42 0.3099 0.3165 0.2502  2 Ta 1.98-2.04, 1 Cu 2.00
O43 0.3099 0.3165 0.7498  2 Ta 1.98-2.04, 1 Cu 2.00
O44 0.3099 0.6835 0.2502  2 Ta 1.98-2.04, 1 Cu 2.00
O45 0.3099 0.6835 0.7498  2 Ta 1.98-2.04, 1 Cu 2.00
O46 0.3097 0.6850 0.5000  1 Cu 2.01, 2 Ta 2.02
O47 0.3107 0.3169 0.0000  1 Cu 2.00, 2 Ta 2.01
O48 0.3107 0.6831 0.0000  1 Cu 2.00, 2 Ta 2.01
O49 0.5000 0.3098 0.3295  1 Cu 1.98, 2 Ta 2.05
O50 0.5000 0.3098 0.6705  1 Cu 1.98, 2 Ta 2.05
O51 0.5000 0.3115 0.0796  1 Cu 1.99, 2 Ta 2.05
O52 0.5000 0.3114 0.4206  2 Ta 2.02, 1 Cu 2.02
O53 0.5000 0.3114 0.5794  2 Ta 2.02, 1 Cu 2.02
O54 0.5000 0.3115 0.9204  1 Cu 1.99, 2 Ta 2.05
O55 0.5000 0.3117 0.1709  1 Cu 2.00, 2 Ta 2.05
O56 0.5000 0.3117 0.8291  1 Cu 2.00, 2 Ta 2.05
O57 0.5000 0.6883 0.1709  1 Cu 2.00, 2 Ta 2.05
O58 0.5000 0.6883 0.8291  1 Cu 2.00, 2 Ta 2.05
O59 0.5000 0.6885 0.0796  1 Cu 1.99, 2 Ta 2.05
O60 0.5000 0.6886 0.4206  2 Ta 2.02, 1 Cu 2.02
O61 0.5000 0.6886 0.5794  2 Ta 2.02, 1 Cu 2.02
O62 0.5000 0.6885 0.9204  1 Cu 1.99, 2 Ta 2.05
O63 0.5000 0.6902 0.3295  1 Cu 1.98, 2 Ta 2.05
O64 0.5000 0.6902 0.6705  1 Cu 1.98, 2 Ta 2.05
O65 0.6893 0.3169 0.0000  1 Cu 2.00, 2 Ta 2.01
O66 0.6893 0.6831 0.0000  1 Cu 2.00, 2 Ta 2.01
O67 0.6903 0.3150 0.5000  1 Cu 2.01, 2 Ta 2.02
O68 0.6901 0.3165 0.2502  2 Ta 1.98-2.04, 1 Cu 2.00
O69 0.6901 0.3165 0.7498  2 Ta 1.98-2.04, 1 Cu 2.00
O70 0.6901 0.6835 0.2502  2 Ta 1.98-2.04, 1 Cu 2.00
O71 0.6901 0.6835 0.7498  2 Ta 1.98-2.04, 1 Cu 2.00
O72 0.6903 0.6850 0.5000  1 Cu 2.01, 2 Ta 2.02
O73 0.6941 0.0000 0.4485  2 Ta 1.94
O74 0.6941 0.0000 0.5515  2 Ta 1.94
O75 0.6954 0.0000 0.1984  2 Ta 1.93
O76 0.6954 0.0000 0.8016  2 Ta 1.93
O77 0.6959 0.0000 0.0520  2 Ta 1.93
O78 0.6963 0.0000 0.3030  2 Ta 1.93
O79 0.6963 0.0000 0.6970  2 Ta 1.93
O80 0.6959 0.0000 0.9480  2 Ta 1.93
O81 0.8113 0.1841 0.1251  1 Cu 2.00, 2 Ta 2.02-2.04
O82 0.8113 0.1841 0.8749  1 Cu 2.00, 2 Ta 2.02-2.04
O83 0.8115 0.5000 0.3296  1 Cu 1.99, 2 Ta 2.06
O84 0.8115 0.5000 0.6704  1 Cu 1.99, 2 Ta 2.06
O85 0.8113 0.8159 0.1251  1 Cu 2.00, 2 Ta 2.02-2.04
O86 0.8113 0.8159 0.8749  1 Cu 2.00, 2 Ta 2.02-2.04
O87 0.8117 0.1871 0.3758  2 Ta 1.99-2.08, 1 Cu 2.01
O88 0.8117 0.1871 0.6242  2 Ta 1.99-2.08, 1 Cu 2.01
O89 0.8119 0.5000 0.0792  1 Cu 2.00, 2 Ta 2.06
O90 0.8118 0.5000 0.1710  1 Cu 2.00, 2 Ta 2.05
O91 0.8118 0.5000 0.8290  1 Cu 2.00, 2 Ta 2.05
O92 0.8119 0.5000 0.9208  1 Cu 2.00, 2 Ta 2.06
O93 0.8117 0.8129 0.3758  2 Ta 1.99-2.08, 1 Cu 2.01
O94 0.8117 0.8129 0.6242  2 Ta 1.99-2.08, 1 Cu 2.01
O95 0.8176 0.5000 0.4229  1 Cu 2.01, 2 Ta 2.05
O96 0.8176 0.5000 0.5771  1 Cu 2.01, 2 Ta 2.05

---

First-principles (PBE) data for a geometry-optimized Mn4SbAs structure, as listed in the Materials Project.

calculated formation energy = 0.006 eV/atom
SG = No. 99
calculated density = 7.62 Mg/m³
size of the total moment = 10.3 μB/f.u.
volume = 15.13 Å³/atom

Lattice parameters (Å, degrees): 3.7415 3.7415 6.4866 90.00 90.00 90.00
Closest atoms and distances in Å follow each position.
Atoms (fractional coordinates):
Mn1 0.0000 0.0000 0.0000  1 As 2.47, 4 Sb 2.71
Mn2 0.0000 0.5000 0.3693  2 As 2.48, 2 Sb 2.62, 6 Mn 2.65-2.77
Mn3 0.5000 0.0000 0.3693  2 As 2.48, 2 Sb 2.62, 6 Mn 2.65-2.77
Mn4 0.5000 0.5000 0.6842  1 Sb 2.62, 4 As 2.68, 4 Mn 2.77
Sb1 0.5000 0.5000 0.0876  9 Mn 2.62-2.71
As1 0.0000 0.0000 0.6192  9 Mn 2.47-2.68

---

First-principles (PBE) data for a geometry-optimized Li2CuF5 structure, as listed in the Materials Project.

calculated formation energy = -2.435 eV/atom
SG = No. 63
calculated density = 3.02 Mg/m³
size of the total moment = 1.5 μB/f.u.
volume = 11.83 Å³/atom

Lattice parameters (Å, degrees): 5.3414 5.3414 9.7976 90.00 90.00 137.37
Closest atoms and distances in Å follow each position.
Atoms (fractional coordinates):
Li1 0.1310 0.8690 0.5696  4 F 1.94-2.03
Li2 0.1310 0.8690 0.9304  4 F 1.94-2.03
Li3 0.8690 0.1310 0.0696  4 F 1.94-2.03
Li4 0.8690 0.1310 0.4304  4 F 1.94-2.03
Cu1 0.1925 0.8075 0.2500  6 F 1.88-1.97
Cu2 0.8075 0.1925 0.7500  6 F 1.88-1.97
F1 0.0590 0.9410 0.1146  1 Cu 1.88, 2 Li 1.94
F2 0.0590 0.9410 0.3854  1 Cu 1.88, 2 Li 1.94
F3 0.2770 0.7230 0.7500  2 Cu 1.97
F4 0.3187 0.6813 0.1021  1 Cu 1.92, 2 Li 2.03
F5 0.3187 0.6813 0.3979  1 Cu 1.92, 2 Li 2.03
F6 0.6813 0.3187 0.6021  1 Cu 1.92, 2 Li 2.03
F7 0.6813 0.3187 0.8979  1 Cu 1.92, 2 Li 2.03
F8 0.7230 0.2770 0.2500  2 Cu 1.97
F9 0.9410 0.0590 0.6146  1 Cu 1.88, 2 Li 1.94
F10 0.9410 0.0590 0.8854  1 Cu 1.88, 2 Li 1.94

---

First-principles (PBE) data for a geometry-optimized Sc12Ir3Br16 structure, as listed in the Materials Project.

calculated formation energy = -1.761 eV/atom
SG = No. 2
calculated density = 4.29 Mg/m³
volume = 29.87 Å³/atom

Lattice parameters (Å, degrees): 8.9365 10.8889 11.5592 116.81 101.83 101.54
Closest atoms and distances in Å follow each position.
Atoms (fractional coordinates):
Sc1 0.0447 0.2048 0.4783  2 Ir 2.72-2.73, 4 Br 2.78-2.79
Sc2 0.1022 0.1543 0.7456  4 Br 2.77-2.80, 2 Ir 2.79
Sc3 0.2152 0.7502 0.3459  3 Br 2.70-2.81, 2 Ir 2.71-2.84
Sc4 0.2763 0.0367 0.3155  3 Br 2.68-2.78, 2 Ir 2.71-2.84
Sc5 0.3590 0.9634 0.6844  3 Br 2.69-2.79, 2 Ir 2.71-2.82
Sc6 0.4197 0.2489 0.6541  3 Br 2.70-2.79, 2 Ir 2.71-2.82
Sc7 0.5803 0.7511 0.3459  3 Br 2.70-2.79, 2 Ir 2.71-2.82
Sc8 0.6410 0.0366 0.3156  3 Br 2.69-2.79, 2 Ir 2.71-2.82
Sc9 0.7237 0.9633 0.6845  3 Br 2.68-2.78, 2 Ir 2.71-2.84
Sc10 0.7848 0.2498 0.6541  3 Br 2.70-2.81, 2 Ir 2.71-2.84
Sc11 0.8978 0.8457 0.2544  4 Br 2.77-2.80, 2 Ir 2.79
Sc12 0.9553 0.7952 0.5217  2 Ir 2.72-2.73, 4 Br 2.78-2.79
Ir1 0.1601 0.9997 0.5006  8 Sc 2.71-2.79, 1 Ir 2.86
Ir2 0.5000 0.0000 0.5000  8 Sc 2.82-2.84, 2 Ir 3.04
Ir3 0.8399 0.0003 0.4994  8 Sc 2.71-2.79, 1 Ir 2.86
Br1 0.0562 0.9348 0.8076  2 Sc 2.77-2.78
Br2 0.1015 0.7509 0.1038  3 Sc 2.78-2.80
Br3 0.1673 0.4197 0.7568  2 Sc 2.77-2.79
Br4 0.1895 0.6643 0.5385  3 Sc 2.78-2.81
Br5 0.3053 0.5175 0.2085  2 Sc 2.70
Br6 0.3364 0.3362 0.4656  3 Sc 2.77-2.78
Br7 0.4258 0.0829 0.1527  2 Sc 2.68-2.69
Br8 0.4307 0.2478 0.8963  3 Sc 2.78-2.79
Br9 0.5693 0.7522 0.1037  3 Sc 2.78-2.79
Br10 0.5742 0.9171 0.8473  2 Sc 2.68-2.69
Br11 0.6636 0.6638 0.5344  3 Sc 2.77-2.78
Br12 0.6947 0.4825 0.7915  2 Sc 2.70
Br13 0.8105 0.3357 0.4615  3 Sc 2.78-2.81
Br14 0.8327 0.5803 0.2432  2 Sc 2.77-2.79
Br15 0.8985 0.2491 0.8962  3 Sc 2.78-2.80
Br16 0.9438 0.0652 0.1924  2 Sc 2.77-2.78

---

First-principles (PBE) data for a geometry-optimized K2SrCl4 structure, as listed in the Materials Project.

calculated formation energy = -2.468 eV/atom
SG = No. 166
calculated density = 2.31 Mg/m³
size of the total moment = 0.0 μB/f.u.
volume = 31.56 Å³/atom
excess energy over the best structure of this formula in the dataset = 0.0362 eV per atom

Lattice parameters (Å, degrees): 9.4926 9.4926 9.4926 32.61 32.61 32.61
Closest atoms and distances in Å follow each position.
Atoms (fractional coordinates):
K1 0.2299 0.2299 0.2299  4 Cl 3.08-3.24
K2 0.7701 0.7701 0.7701  4 Cl 3.08-3.24
Sr1 0.0000 0.0000 0.0000  8 Cl 2.95-3.16
Cl1 0.1097 0.1097 0.1097  1 Sr 2.95, 4 K 3.08-3.24
Cl2 0.3596 0.3596 0.3596  3 Sr 3.16, 3 Cl 3.39, 1 K 3.50
Cl3 0.6404 0.6404 0.6404  3 Sr 3.16, 3 Cl 3.39, 1 K 3.50
Cl4 0.8903 0.8903 0.8903  1 Sr 2.95, 4 K 3.08-3.24

---

First-principles (PBE) data for a geometry-optimized Cs2LiYI6 structure, as listed in the Materials Project.

calculated formation energy = -1.672 eV/atom
SG = No. 225
calculated density = 4.20 Mg/m³
volume = 44.37 Å³/atom

Lattice parameters (Å, degrees): 8.5611 8.5611 8.5611 60.00 60.00 60.00
Closest atoms and distances in Å follow each position.
Atoms (fractional coordinates):
Cs1 0.2500 0.2500 0.2500  12 I 4.28
Cs2 0.7500 0.7500 0.7500  12 I 4.28
Li1 0.0000 0.0000 0.0000  6 I 3.02
Y1 0.5000 0.5000 0.5000  6 I 3.03
I1 0.2496 0.2496 0.7504  1 Li 3.02, 1 Y 3.03
I2 0.2496 0.7504 0.2496  1 Li 3.02, 1 Y 3.03
I3 0.2496 0.7504 0.7504  1 Li 3.02, 1 Y 3.03
I4 0.7504 0.2496 0.2496  1 Li 3.02, 1 Y 3.03
I5 0.7504 0.2496 0.7504  1 Li 3.02, 1 Y 3.03
I6 0.7504 0.7504 0.2496  1 Li 3.02, 1 Y 3.03

---

First-principles (PBE) data for a geometry-optimized Ba5Y3F19 structure, as listed in the Materials Project.

calculated formation energy = -4.211 eV/atom
SG = No. 1
calculated density = 4.17 Mg/m³
size of the total moment = 0.0 μB/f.u.
volume = 19.40 Å³/atom
excess energy over the best structure of this formula in the dataset = 0.0086 eV per atom

Lattice parameters (Å, degrees): 8.3684 11.9445 11.9466 82.96 69.50 69.50
Closest atoms and distances in Å follow each position.
Atoms (fractional coordinates):
Ba1 0.0000 0.0000 0.0000  7 F 2.60-2.91
Ba2 0.0183 0.4811 0.4796  5 F 2.56-2.78
Ba3 0.2016 0.0013 0.6026  6 F 2.53-2.82
Ba4 0.3229 0.3583 0.9954  6 F 2.55-2.82
Ba5 0.4503 0.6757 0.8003  6 F 2.55-2.72
Ba6 0.4958 0.8756 0.1199  5 F 2.54-2.76
Ba7 0.5160 0.3571 0.6033  5 F 2.51-2.76
Ba8 0.6951 0.4792 0.1258  7 F 2.63-2.87
Ba9 0.8262 0.8767 0.4735  7 F 2.58-2.88
Ba10 0.9461 0.6721 0.7982  6 F 2.59-2.67
Y1 0.0842 0.6723 0.1354  6 F 2.14-2.27
Y2 0.4212 0.6791 0.4593  6 F 2.14-2.27
Y3 0.4264 0.1788 0.2976  5 F 2.00-2.19
Y4 0.5850 0.0080 0.8000  6 F 2.19-2.26
Y5 0.9169 0.3453 0.7982  6 F 2.12-2.26
Y6 0.9270 0.1729 0.2964  6 F 2.07-2.20
F1 0.0108 0.5191 0.1310  1 Y 2.14
F2 0.0128 0.3950 0.9324  1 Y 2.24
F3 0.0346 0.1432 0.7992  1 Y 2.26
F4 0.1264 0.6729 0.9429  1 Y 2.20
F5 0.1375 0.3981 0.6665  1 Y 2.20
F6 0.1694 0.1819 0.2968  2 Y 2.07-2.14
F7 0.1883 0.8313 0.4644  1 Y 2.14
F8 0.2030 0.8855 0.7949  3 Ba 2.53-2.65
F9 0.2309 0.8034 0.0776  1 Y 2.22
F10 0.2594 0.6774 0.6568  1 Y 2.27
F11 0.3005 0.1889 0.4913  1 Y 2.18
F12 0.3108 0.3692 0.2839  1 Y 2.15
F13 0.3426 0.0125 0.9572  1 Y 2.22
F14 0.3486 0.5193 0.4595  1 Y 2.20
F15 0.3696 0.5436 0.0758  1 Y 2.25
F16 0.4013 0.4672 0.7968  3 Ba 2.51-2.67
F17 0.4936 0.9785 0.3100  1 Y 2.26
F18 0.5022 0.1612 0.1042  1 Y 2.19
F19 0.5018 0.2099 0.7981  1 Y 2.26
F20 0.5027 0.0113 0.6446  1 Y 2.19
F21 0.5154 0.8051 0.5152  1 Y 2.19
F22 0.5334 0.6780 0.2646  1 Y 2.18
F23 0.6204 0.8174 0.7970  1 Y 2.19
F24 0.6363 0.5467 0.5192  1 Y 2.21
F25 0.6621 0.1805 0.3030  2 Y 2.00-2.16
F26 0.6913 0.3385 0.9562  1 Y 2.17
F27 0.6924 0.6802 0.0082  3 Ba 2.54-2.64
F28 0.7277 0.9544 0.9310  1 Y 2.19
F29 0.7724 0.5305 0.7957  1 Y 2.12
F30 0.8032 0.3689 0.3075  1 Y 2.20
F31 0.8097 0.1662 0.4886  1 Y 2.16
F32 0.8448 0.3427 0.6381  1 Y 2.20
F33 0.8459 0.8376 0.1328  1 Y 2.27
F34 0.8586 0.9563 0.6665  1 Y 2.20
F35 0.9010 0.6794 0.5907  3 Ba 2.56-2.62
F36 0.9906 0.1825 0.1041  1 Y 2.17
F37 0.9951 0.6736 0.3323  1 Y 2.21
F38 0.9951 0.9836 0.2919  1 Y 2.13

---

First-principles (PBE) data for a geometry-optimized EuSe structure, as listed in the Materials Project.

calculated formation energy = -2.279 eV/atom
SG = No. 225
calculated density = 6.60 Mg/m³
volume = 29.03 Å³/atom

Lattice parameters (Å, degrees): 6.1471 6.1471 6.1471 90.00 90.00 90.00
Closest atoms and distances in Å follow each position.
Atoms (fractional coordinates):
Eu1 0.0000 0.0000 0.0000  6 Se 3.07
Eu2 0.0000 0.5000 0.5000  6 Se 3.07
Eu3 0.5000 0.0000 0.5000  6 Se 3.07
Eu4 0.5000 0.5000 0.0000  6 Se 3.07
Se1 0.0000 0.0000 0.5000  6 Eu 3.07
Se2 0.0000 0.5000 0.0000  6 Eu 3.07
Se3 0.5000 0.0000 0.0000  6 Eu 3.07
Se4 0.5000 0.5000 0.5000  6 Eu 3.07